The following is a PBE+U calculation of a relaxed structure of K3ScMo3O12, from the Materials Project.

Values from the calculation:
- Offset from the most stable computed form: 0.25 kJ per mole of atoms
- Energy relative to the elements: -2.408 eV/atom
- Total moment: 0.000 μB/atom

Structure (CIF):
```
data_K3ScMo3O12
_chemical_formula_sum 'K12 Sc4 Mo12 O48'
_space_group_name_H-M_alt 'P 1'
_space_group_IT_number 1
_cell_length_a 9.528
_cell_length_b 11.102
_cell_length_c 13.930
_cell_angle_alpha 90.00
_cell_angle_beta 90.00
_cell_angle_gamma 90.00
loop_
_space_group_symop_operation_xyz
'x,y,z'
loop_
_atom_site_label
_atom_site_fract_x
_atom_site_fract_y
_atom_site_fract_z
K1 0.815 0.231 0.254
K2 0.543 0.761 0.475
K3 0.185 0.769 0.754
K4 0.533 0.983 0.748
K5 0.533 0.517 0.248
K6 0.467 0.017 0.248
K7 0.457 0.239 0.975
K8 0.815 0.269 0.754
K9 0.543 0.739 0.975
K10 0.467 0.483 0.748
K11 0.185 0.731 0.254
K12 0.457 0.261 0.475
Sc1 0.067 0.248 0.507
Sc2 0.067 0.252 0.007
Sc3 0.933 0.748 0.507
Sc4 0.933 0.752 0.007
Mo1 0.749 0.050 0.001
Mo2 0.250 0.952 0.008
Mo3 0.819 0.836 0.254
Mo4 0.750 0.452 0.008
Mo5 0.250 0.548 0.508
Mo6 0.251 0.950 0.501
Mo7 0.181 0.164 0.754
Mo8 0.181 0.336 0.254
Mo9 0.750 0.048 0.508
Mo10 0.251 0.550 0.001
Mo11 0.819 0.664 0.754
Mo12 0.749 0.450 0.501
O1 0.614 0.430 0.921
O2 0.916 0.786 0.360
O3 0.312 0.614 0.892
O4 0.071 0.205 0.652
O5 0.093 0.874 0.970
O6 0.907 0.126 0.470
O7 0.386 0.570 0.421
O8 0.202 0.493 0.257
O9 0.773 0.887 0.987
O10 0.908 0.375 0.538
O11 0.907 0.374 0.970
O12 0.084 0.286 0.360
O13 0.691 0.112 0.617
O14 0.649 0.770 0.251
O15 0.386 0.921 0.587
O16 0.309 0.888 0.117
O17 0.222 0.114 0.024
O18 0.309 0.612 0.617
O19 0.649 0.730 0.751
O20 0.916 0.714 0.860
O21 0.778 0.886 0.524
O22 0.798 0.507 0.757
O23 0.929 0.705 0.652
O24 0.614 0.421 0.587
O25 0.386 0.579 0.087
O26 0.071 0.295 0.152
O27 0.227 0.387 0.987
O28 0.688 0.386 0.392
O29 0.084 0.214 0.860
O30 0.092 0.625 0.038
O31 0.614 0.079 0.087
O32 0.386 0.930 0.921
O33 0.773 0.613 0.487
O34 0.351 0.230 0.751
O35 0.929 0.795 0.152
O36 0.688 0.114 0.892
O37 0.691 0.388 0.117
O38 0.798 0.993 0.257
O39 0.222 0.386 0.524
O40 0.093 0.626 0.470
O41 0.202 0.007 0.757
O42 0.351 0.270 0.251
O43 0.614 0.070 0.421
O44 0.908 0.125 0.038
O45 0.778 0.614 0.024
O46 0.092 0.875 0.538
O47 0.312 0.886 0.392
O48 0.227 0.113 0.487
```